1.
A plane-wave DFT calculation with GGA+U was carried out for a relaxed Li4Ti2V3Co3O16 crystal.

a = 5.8290 Å, b = 5.8294 Å, c = 9.4825 Å
α = 89.92°, β = 89.78°, γ = 60.06°
Last column: nearest neighbours and their distance in Å.
Fractional coordinates of all 28 atoms:
Li  0.0000  0.0000  0.0000  4 O 1.80-2.00
Li  0.0052  0.9973  0.5022  4 O 1.81-1.97
Li  0.3235  0.3349  0.4110  4 O 1.94-1.96
Li  0.6674  0.6656  0.8960  4 O 1.95-1.98
Ti  0.3026  0.3470  0.0012  4 O 1.85-2.04
Ti  0.6662  0.6675  0.5109  4 O 1.89-2.09
V  0.6524  0.1735  0.7309  6 O 1.89-2.09
V  0.8008  0.3539  0.2254  5 O 1.83-2.03
V  0.8090  0.8378  0.2276  5 O 1.85-2.06
Co  0.1705  0.1702  0.7196  6 O 1.91-2.03
Co  0.1708  0.6572  0.7197  6 O 1.91-2.02
Co  0.3365  0.8289  0.2162  6 O 2.00-2.13
O  0.0029  0.9974  0.8100  1 Li 1.80, 2 Co 1.92, 1 V 1.92
O  0.0416  0.4779  0.8379  2 Co 1.92, 1 Li 1.97, 1 Ti 2.04
O  0.1428  0.1879  0.0987  1 Ti 1.85, 1 Li 1.92
O  0.1465  0.6682  0.0983  1 Ti 1.87, 1 Li 1.92
O  0.3318  0.3335  0.6163  2 Co 1.91, 1 Li 1.95, 1 V 1.95
O  0.3348  0.8315  0.6052  1 Ti 1.89, 1 Li 1.93, 2 Co 2.02-2.03
O  0.4759  0.0391  0.8428  1 V 1.90, 1 Co 1.94, 1 Li 1.95
O  0.4761  0.4833  0.8426  1 V 1.89, 1 Co 1.94, 1 Li 1.95
O  0.5312  0.4994  0.3541  1 V 1.83, 1 Li 1.96
O  0.5307  0.9610  0.3553  1 V 1.85, 1 Li 1.96
O  0.6535  0.1717  0.1028  1 Li 2.00, 1 Ti 2.02, 2 V 2.03-2.06
O  0.6813  0.6613  0.1044  2 V 1.94, 1 Li 1.98, 1 Co 2.04
O  0.8348  0.3310  0.6070  1 Ti 1.93, 1 Li 1.96, 1 Co 2.01, 1 V 2.08
O  0.8349  0.8312  0.6072  1 Ti 1.91, 1 Li 1.97, 1 Co 2.01, 1 V 2.09
O  0.9610  0.5180  0.3450  1 Li 1.94, 2 V 1.96-1.99, 1 Ti 2.16
O  0.9836  0.0074  0.3118  1 Li 1.81, 2 V 1.91-1.93, 1 Co 2.00

Summary:
Volume: 279 Å³/cell
Offset from the most stable computed form: 0.003 eV/atom

2.
A plane-wave DFT calculation with GGA+U was carried out for a relaxed Na5WNO4 crystal.

a = 5.7893 Å, b = 5.7893 Å, c = 10.7720 Å
α = 90.00°, β = 90.00°, γ = 60.66°
Last column: nearest neighbours and their distance in Å.
Fractional coordinates of all 22 atoms:
Na  0.0345  0.3361  0.2334  4 O 2.32-2.56, 1 N 2.40
Na  0.0714  0.9286  0.5000  4 O 2.27-2.29
Na  0.2931  0.3239  0.9834  4 O 2.30-2.54
Na  0.3239  0.2931  0.4834  4 O 2.30-2.54
Na  0.3361  0.0345  0.7334  4 O 2.32-2.56, 1 N 2.40
Na  0.6639  0.9655  0.2334  4 O 2.32-2.56, 1 N 2.40
Na  0.6761  0.7069  0.9834  4 O 2.30-2.54
Na  0.7069  0.6761  0.4834  4 O 2.30-2.54
Na  0.9286  0.0714  0.0000  4 O 2.27-2.29
Na  0.9655  0.6639  0.7334  4 O 2.32-2.56, 1 N 2.40
W  0.2918  0.7082  0.2221  1 N 1.81, 4 O 1.98-1.99
W  0.7082  0.2918  0.7221  1 N 1.81, 4 O 1.98-1.99
N  0.4024  0.5976  0.6975  1 W 1.81
N  0.5976  0.4024  0.1975  1 W 1.81
O  0.0382  0.6878  0.1057  1 W 1.98
O  0.0839  0.6441  0.3512  1 W 1.99
O  0.3122  0.9618  0.1057  1 W 1.98
O  0.3559  0.9161  0.3512  1 W 1.99
O  0.6441  0.0839  0.8512  1 W 1.99
O  0.6878  0.0382  0.6057  1 W 1.98
O  0.9161  0.3559  0.8512  1 W 1.99
O  0.9618  0.3122  0.6057  1 W 1.98

Summary:
Volume: 315 Å³/cell
Largest piezoelectric modulus: 0.83 C/m²
Final energy: -5.292 eV/atom

3.
A plane-wave DFT calculation with GGA+U was carried out for a relaxed LiMnO2 crystal.

a = 3.1074 Å, b = 5.0858 Å, c = 5.1211 Å
α = 106.01°, β = 86.70°, γ = 84.84°
Last column: nearest neighbours and their distance in Å.
Fractional coordinates of all 8 atoms:
Mn  0.5000  0.5000  0.0000  4 O 1.95-1.96
Mn  0.0000  0.0000  0.0000  4 O 1.95-1.96
O  0.9755  0.2478  0.7683  2 Mn 1.95-1.96, 2 Li 2.13
O  0.0245  0.7522  0.2317  2 Mn 1.95-1.96, 2 Li 2.13
O  0.5245  0.2522  0.2317  2 Mn 1.95-1.96, 2 Li 2.13
O  0.4755  0.7478  0.7683  2 Mn 1.95-1.96, 2 Li 2.13
Li  0.5000  0.0000  0.5000  6 O 2.13-2.30
Li  0.0000  0.5000  0.5000  6 O 2.13-2.30

Summary:
Volume: 77 Å³/cell
Final energy: -6.641 eV/atom

4.
A plane-wave DFT calculation with GGA+U was carried out for a relaxed Li2NiP2O8 crystal.

a = 8.2116 Å, b = 10.3692 Å, c = 8.3077 Å
α = 90.00°, β = 103.84°, γ = 90.00°
Last column: nearest neighbours and their distance in Å.
Fractional coordinates of all 52 atoms:
Li  0.0501  0.0000  0.0291  4 O 1.92-2.05
Li  0.1052  0.7383  0.8357  4 O 1.96-1.98
Li  0.1099  0.8984  0.3511  4 O 1.92-2.01
Li  0.1448  0.4191  0.4200  4 O 1.96-2.06
Li  0.8552  0.9191  0.5800  4 O 1.96-2.06
Li  0.8901  0.3984  0.6489  4 O 1.92-2.01
Li  0.8948  0.2383  0.1643  4 O 1.96-1.98
Li  0.9499  0.5000  0.9709  4 O 1.92-2.05
Ni  0.3975  0.2246  0.6624  4 O 1.83-1.89
Ni  0.4109  0.4028  0.1638  4 O 1.83-1.90
Ni  0.5891  0.9028  0.8362  4 O 1.83-1.90
Ni  0.6025  0.7246  0.3376  4 O 1.83-1.89
P  0.2147  0.9799  0.7207  4 O 1.52-1.57
P  0.2238  0.6511  0.2150  4 O 1.52-1.58
P  0.2646  0.4715  0.7955  4 O 1.53-1.57
P  0.2665  0.1675  0.2926  4 O 1.52-1.57
P  0.7335  0.6675  0.7074  4 O 1.52-1.57
P  0.7354  0.9715  0.2045  4 O 1.53-1.57
P  0.7762  0.1511  0.7850  4 O 1.52-1.58
P  0.7853  0.4799  0.2793  4 O 1.52-1.57
O  0.0816  0.9631  0.5594  1 P 1.52
O  0.0948  0.6576  0.0486  1 P 1.53
O  0.0988  0.4225  0.8301  1 P 1.54
O  0.1167  0.2449  0.3201  1 P 1.53
O  0.1517  0.7120  0.3500  1 P 1.52
O  0.1520  0.9252  0.8653  1 P 1.52
O  0.2196  0.0297  0.2372  1 P 1.52
O  0.2374  0.6126  0.7436  1 P 1.53
O  0.2590  0.1260  0.7550  1 P 1.57
O  0.2663  0.5050  0.2589  1 P 1.58
O  0.3064  0.3930  0.6490  1 P 1.57
O  0.3357  0.2356  0.1538  1 P 1.57
O  0.3777  0.9094  0.7017  1 P 1.57
O  0.3858  0.7240  0.2032  1 P 1.55
O  0.4114  0.1716  0.4544  1 P 1.57
O  0.4115  0.4551  0.9502  1 P 1.55
O  0.5885  0.9551  0.0498  1 P 1.55
O  0.5886  0.6716  0.5456  1 P 1.57
O  0.6142  0.2240  0.7968  1 P 1.55
O  0.6223  0.4094  0.2983  1 P 1.57
O  0.6643  0.7356  0.8462  1 P 1.57
O  0.6936  0.8930  0.3510  1 P 1.57
O  0.7337  0.0050  0.7411  1 P 1.58
O  0.7410  0.6260  0.2450  1 P 1.57
O  0.7626  0.1126  0.2564  1 P 1.53
O  0.7804  0.5297  0.7628  1 P 1.52
O  0.8483  0.2120  0.6500  1 P 1.52
O  0.8480  0.4252  0.1347  1 P 1.52
O  0.8833  0.7449  0.6799  1 P 1.53
O  0.9012  0.9225  0.1699  1 P 1.54
O  0.9052  0.1576  0.9514  1 P 1.53
O  0.9184  0.4631  0.4406  1 P 1.52

Summary:
Volume: 687 Å³/cell
Offset from the most stable computed form: 0.019 eV/atom

5.
A plane-wave DFT calculation with GGA+U was carried out for a relaxed K10MnMo7O27 crystal.

a = 18.7778 Å, b = 8.1320 Å, c = 10.8205 Å
α = 90.00°, β = 90.00°, γ = 90.00°
Last column: nearest neighbours and their distance in Å.
Fractional coordinates of all 90 atoms:
K  0.0000  0.0920  0.1145  2 O 2.60-2.68
K  0.0000  0.3818  0.7578  7 O 2.70-2.95
K  0.1408  0.3820  0.3567  6 O 2.76-3.04
K  0.1523  0.7351  0.0000  3 O 2.73-3.00
K  0.1779  0.0488  0.6842  4 O 2.67-2.91
K  0.1840  0.2602  0.0138  5 O 2.70-3.02
K  0.3160  0.7398  0.5138  5 O 2.70-3.02
K  0.3221  0.9512  0.1842  4 O 2.67-2.91
K  0.3477  0.2649  0.5000  3 O 2.73-3.00
K  0.3592  0.6180  0.8567  6 O 2.76-3.04
K  0.5000  0.6182  0.2578  7 O 2.70-2.95
K  0.5000  0.9080  0.6145  2 O 2.60-2.68
K  0.6408  0.6180  0.8567  6 O 2.76-3.04
K  0.6523  0.2649  0.5000  3 O 2.73-3.00
K  0.6779  0.9512  0.1842  4 O 2.67-2.91
K  0.6840  0.7398  0.5138  5 O 2.70-3.02
K  0.8160  0.2602  0.0138  5 O 2.70-3.02
K  0.8221  0.0488  0.6842  4 O 2.67-2.91
K  0.8477  0.7351  0.0000  3 O 2.73-3.00
K  0.8592  0.3820  0.3567  6 O 2.76-3.04
Mn  0.0000  0.7060  0.5038  6 O 2.11-2.31
Mn  0.5000  0.2940  0.0038  6 O 2.11-2.31
Mo  0.0000  0.1116  0.4913  3 O 1.77-1.78
Mo  0.0000  0.5564  0.1727  4 O 1.78-1.82
Mo  0.0000  0.9000  0.8141  4 O 1.76-1.85
Mo  0.1541  0.9066  0.3390  4 O 1.77-1.85
Mo  0.1689  0.5325  0.6696  4 O 1.79-1.82
Mo  0.3311  0.4675  0.1696  4 O 1.79-1.82
Mo  0.3459  0.0934  0.8390  4 O 1.77-1.85
Mo  0.5000  0.1000  0.3141  4 O 1.76-1.85
Mo  0.5000  0.4436  0.6727  4 O 1.78-1.82
Mo  0.5000  0.8884  0.9913  3 O 1.77-1.78
Mo  0.6541  0.0934  0.8390  4 O 1.77-1.85
Mo  0.6689  0.4675  0.1696  4 O 1.79-1.82
Mo  0.8311  0.5325  0.6696  4 O 1.79-1.82
Mo  0.8459  0.9066  0.3390  4 O 1.77-1.85
O  0.0000  0.1985  0.3413  1 Mo 1.77
O  0.0000  0.5640  0.3405  1 Mo 1.82
O  0.0000  0.6890  0.8520  1 Mo 1.76
O  0.0000  0.7624  0.1163  1 Mo 1.78
O  0.0000  0.9205  0.6441  1 Mo 1.85
O  0.0700  0.9066  0.4289  1 Mo 1.85
O  0.0745  0.2075  0.5631  1 Mo 1.78
O  0.0774  0.9985  0.8782  1 Mo 1.80
O  0.0783  0.4493  0.1194  1 Mo 1.80
O  0.0867  0.5898  0.5921  1 Mo 1.82
O  0.1466  0.0233  0.1991  1 Mo 1.79
O  0.1477  0.3983  0.7960  1 Mo 1.79
O  0.1789  0.7037  0.2995  1 Mo 1.77
O  0.2125  0.7139  0.7266  1 Mo 1.80
O  0.2242  0.9919  0.4316  1 Mo 1.79
O  0.2271  0.4359  0.5596  1 Mo 1.80
O  0.2729  0.5641  0.0596  1 Mo 1.80
O  0.2758  0.0081  0.9316  1 Mo 1.79
O  0.2875  0.2861  0.2266  1 Mo 1.80
O  0.3211  0.2963  0.7995  1 Mo 1.77
O  0.3523  0.6017  0.2960  1 Mo 1.79
O  0.3534  0.9767  0.6991  1 Mo 1.79
O  0.4133  0.4102  0.0921  1 Mo 1.82
O  0.4217  0.5507  0.6194  1 Mo 1.80
O  0.4226  0.0015  0.3782  1 Mo 1.80
O  0.4255  0.7925  0.0631  1 Mo 1.78
O  0.4300  0.0934  0.9289  1 Mo 1.85
O  0.5000  0.0795  0.1441  1 Mo 1.85
O  0.5000  0.2376  0.6163  1 Mo 1.78
O  0.5000  0.3110  0.3520  1 Mo 1.76
O  0.5000  0.4360  0.8405  1 Mo 1.82
O  0.5000  0.8015  0.8413  1 Mo 1.77
O  0.5700  0.0934  0.9289  1 Mo 1.85
O  0.5745  0.7925  0.0631  1 Mo 1.78
O  0.5774  0.0015  0.3782  1 Mo 1.80
O  0.5783  0.5507  0.6194  1 Mo 1.80
O  0.5867  0.4102  0.0921  1 Mo 1.82
O  0.6466  0.9767  0.6991  1 Mo 1.79
O  0.6477  0.6017  0.2960  1 Mo 1.79
O  0.6789  0.2963  0.7995  1 Mo 1.77
O  0.7125  0.2861  0.2266  1 Mo 1.80
O  0.7242  0.0081  0.9316  1 Mo 1.79
O  0.7271  0.5641  0.0596  1 Mo 1.80
O  0.7729  0.4359  0.5596  1 Mo 1.80
O  0.7758  0.9919  0.4316  1 Mo 1.79
O  0.7875  0.7139  0.7266  1 Mo 1.80
O  0.8211  0.7037  0.2995  1 Mo 1.77
O  0.8523  0.3983  0.7960  1 Mo 1.79
O  0.8534  0.0233  0.1991  1 Mo 1.79
O  0.9133  0.5898  0.5921  1 Mo 1.82
O  0.9217  0.4493  0.1194  1 Mo 1.80
O  0.9226  0.9985  0.8782  1 Mo 1.80
O  0.9255  0.2075  0.5631  1 Mo 1.78
O  0.9300  0.9066  0.4289  1 Mo 1.85

Summary:
Volume: 1652 Å³/cell
Final energy: -6.267 eV/atom

6.
A plane-wave DFT calculation with GGA+U was carried out for a relaxed MgTiZn2WO6 crystal.

a = 5.2780 Å, b = 5.2954 Å, c = 5.9424 Å
α = 90.90°, β = 115.85°, γ = 119.37°
Last column: nearest neighbours and their distance in Å.
Fractional coordinates of all 11 atoms:
Mg  0.0000  0.0000  0.0000  6 O 2.07-2.13
Ti  0.2951  0.6406  0.9449  3 O 1.91-2.02
Zn  0.6709  0.8333  0.4925  6 O 2.08-2.30
Zn  0.8248  0.4138  0.2325  3 O 1.94-1.96
W  0.3623  0.1791  0.5461  6 O 2.15-2.25
O  0.1508  0.9037  0.7609  1 Ti 2.02, 1 Mg 2.07, 1 Zn 2.15, 1 W 2.17
O  0.2051  0.7849  0.2486  2 Zn 1.96-2.11, 1 Mg 2.13
O  0.4633  0.4094  0.2529  2 Zn 1.95-2.10, 1 Mg 2.11
O  0.5124  0.6022  0.7737  1 Ti 1.91, 1 Mg 2.11
O  0.8399  0.0548  0.2522  2 Zn 1.94-2.08, 1 Mg 2.09
O  0.8503  0.2478  0.7727  1 Ti 1.98, 1 Mg 2.08, 1 W 2.15

Summary:
Volume: 125 Å³/cell
Offset from the most stable computed form: 0.011 eV/atom

Which formula does entry 4 have?
Li2NiP2O8

What did the first record say?
A plane-wave DFT calculation with GGA+U was carried out for a relaxed Li4Ti2V3Co3O16 crystal.

a = 5.8290 Å, b = 5.8294 Å, c = 9.4825 Å
α = 89.92°, β = 89.78°, γ = 60.06°
Last column: nearest neighbours and their distance in Å.
Fractional coordinates of all 28 atoms:
Li  0.0000  0.0000  0.0000  4 O 1.80-2.00
Li  0.0052  0.9973  0.5022  4 O 1.81-1.97
Li  0.3235  0.3349  0.4110  4 O 1.94-1.96
Li  0.6674  0.6656  0.8960  4 O 1.95-1.98
Ti  0.3026  0.3470  0.0012  4 O 1.85-2.04
Ti  0.6662  0.6675  0.5109  4 O 1.89-2.09
V  0.6524  0.1735  0.7309  6 O 1.89-2.09
V  0.8008  0.3539  0.2254  5 O 1.83-2.03
V  0.8090  0.8378  0.2276  5 O 1.85-2.06
Co  0.1705  0.1702  0.7196  6 O 1.91-2.03
Co  0.1708  0.6572  0.7197  6 O 1.91-2.02
Co  0.3365  0.8289  0.2162  6 O 2.00-2.13
O  0.0029  0.9974  0.8100  1 Li 1.80, 2 Co 1.92, 1 V 1.92
O  0.0416  0.4779  0.8379  2 Co 1.92, 1 Li 1.97, 1 Ti 2.04
O  0.1428  0.1879  0.0987  1 Ti 1.85, 1 Li 1.92
O  0.1465  0.6682  0.0983  1 Ti 1.87, 1 Li 1.92
O  0.3318  0.3335  0.6163  2 Co 1.91, 1 Li 1.95, 1 V 1.95
O  0.3348  0.8315  0.6052  1 Ti 1.89, 1 Li 1.93, 2 Co 2.02-2.03
O  0.4759  0.0391  0.8428  1 V 1.90, 1 Co 1.94, 1 Li 1.95
O  0.4761  0.4833  0.8426  1 V 1.89, 1 Co 1.94, 1 Li 1.95
O  0.5312  0.4994  0.3541  1 V 1.83, 1 Li 1.96
O  0.5307  0.9610  0.3553  1 V 1.85, 1 Li 1.96
O  0.6535  0.1717  0.1028  1 Li 2.00, 1 Ti 2.02, 2 V 2.03-2.06
O  0.6813  0.6613  0.1044  2 V 1.94, 1 Li 1.98, 1 Co 2.04
O  0.8348  0.3310  0.6070  1 Ti 1.93, 1 Li 1.96, 1 Co 2.01, 1 V 2.08
O  0.8349  0.8312  0.6072  1 Ti 1.91, 1 Li 1.97, 1 Co 2.01, 1 V 2.09
O  0.9610  0.5180  0.3450  1 Li 1.94, 2 V 1.96-1.99, 1 Ti 2.16
O  0.9836  0.0074  0.3118  1 Li 1.81, 2 V 1.91-1.93, 1 Co 2.00

Summary:
Volume: 279 Å³/cell
Offset from the most stable computed form: 0.003 eV/atom